NdMn2: optimized geometry, PBE.

```
data_NdMn2
_chemical_formula_sum 'Nd8 Mn16'
_space_group_name_H-M_alt 'C m c m'
_space_group_IT_number 63
_space_group_name_Hall '-C 2c 2'
_cell_length_a 5.5113
_cell_length_b 8.9396
_cell_length_c 8.8474
_cell_angle_alpha 90.00
_cell_angle_beta 90.00
_cell_angle_gamma 90.00
loop_
_atom_site_label
_atom_site_type_symbol
_atom_site_fract_x
_atom_site_fract_y
_atom_site_fract_z
Nd1 Nd 0.0000 0.1639 0.0614
Mn1 Mn 0.0000 0.3542 0.7500
Mn2 Mn 0.0000 0.5000 0.0000
Mn3 Mn 0.2407 0.4022 0.2500
```

Calculated values
- E_tot: -177.48 eV for the cell shown
- E_form: 0.302 eV per atom
- Magnetic moment: 3.897 μB per formula unit